Record 1
The following is a PBE-GGA calculation of crystalline NiP2H21C7Cl at its relaxed geometry, from the Materials Project.

Properties
Crystal system: monoclinic
E: -5.0356 eV per atom
M_tot: 0.03 μB/f.u.
Energy of formation: -0.233 eV per atom

a = 12.2594 Å, b = 19.9692 Å, c = 12.2316 Å
α = 90.00°, β = 90.04°, γ = 90.00°
Positions (direct):
1 Ni 0.2135 0.1253 0.0463
2 Ni 0.2135 0.3747 0.5463
3 Ni 0.2860 0.6252 0.0450
4 Ni 0.2860 0.8748 0.5450
5 Ni 0.7140 0.1252 0.4550
6 Ni 0.7140 0.3748 0.9550
7 Ni 0.7865 0.6253 0.4537
8 Ni 0.7865 0.8747 0.9537
9 P 0.1776 0.2095 0.9371
10 P 0.1776 0.2905 0.4371
11 P 0.2390 0.0357 0.1469
12 P 0.2390 0.4643 0.6469
13 P 0.2610 0.5357 0.1470
14 P 0.2610 0.9643 0.6470
15 P 0.3222 0.7097 0.9367
16 P 0.3222 0.7903 0.4367
17 P 0.6778 0.2097 0.5633
18 P 0.6778 0.2903 0.0633
19 P 0.7390 0.0357 0.3530
20 P 0.7390 0.4643 0.8530
21 P 0.7610 0.5357 0.3531
22 P 0.7610 0.9643 0.8531
23 P 0.8224 0.7095 0.5629
24 P 0.8224 0.7905 0.0629
25 H 0.0185 0.6971 0.5780
26 H 0.0185 0.8029 0.0780
27 H 0.0348 0.2483 0.3175
28 H 0.0348 0.2517 0.8175
29 H 0.0498 0.1628 0.8061
30 H 0.0498 0.3372 0.3061
31 H 0.0540 0.5058 0.6318
32 H 0.0540 0.9942 0.1318
33 H 0.0650 0.5161 0.1613
34 H 0.0650 0.9839 0.6613
35 H 0.0848 0.6326 0.0653
36 H 0.0848 0.8674 0.5653
37 H 0.1090 0.2159 0.5774
38 H 0.1090 0.2841 0.0774
39 H 0.1155 0.5706 0.9649
40 H 0.1155 0.9294 0.4649
41 H 0.1167 0.6566 0.9289
42 H 0.1167 0.8434 0.4289
43 H 0.1237 0.0321 0.5536
44 H 0.1237 0.4679 0.0536
45 H 0.1350 0.1726 0.4514
46 H 0.1350 0.3274 0.9514
47 H 0.1421 0.0573 0.6925
48 H 0.1421 0.4427 0.1925
49 H 0.1429 0.5668 0.6924
50 H 0.1429 0.9332 0.1924
51 H 0.1444 0.5528 0.5476
52 H 0.1444 0.9472 0.0476
53 H 0.1503 0.7489 0.8554
54 H 0.1503 0.7511 0.3554
55 H 0.1558 0.0734 0.3145
56 H 0.1558 0.4266 0.8145
57 H 0.1964 0.5774 0.3217
58 H 0.1964 0.9226 0.8217
59 H 0.2230 0.6946 0.7654
60 H 0.2230 0.8054 0.2654
61 H 0.2277 0.2286 0.2747
62 H 0.2277 0.2714 0.7747
63 H 0.2395 0.0006 0.3371
64 H 0.2395 0.4994 0.8371
65 H 0.2462 0.1958 0.5386
66 H 0.2462 0.3042 0.0386
67 H 0.2544 0.6968 0.5420
68 H 0.2544 0.8032 0.0420
69 H 0.2672 0.7211 0.2841
70 H 0.2672 0.7789 0.7841
71 H 0.2681 0.0001 0.8371
72 H 0.2681 0.4999 0.3371
73 H 0.2919 0.1909 0.7758
74 H 0.2919 0.3091 0.2758
75 H 0.3016 0.0812 0.3197
76 H 0.3016 0.4188 0.8197
77 H 0.3427 0.5760 0.3140
78 H 0.3427 0.9240 0.8140
79 H 0.3444 0.2431 0.3585
80 H 0.3444 0.2569 0.8585
81 H 0.3514 0.0696 0.6857
82 H 0.3514 0.4304 0.1857
83 H 0.3579 0.5565 0.6956
84 H 0.3579 0.9435 0.1956
85 H 0.3611 0.0486 0.5435
86 H 0.3611 0.4514 0.0435
87 H 0.3617 0.6720 0.4513
88 H 0.3617 0.8280 0.9513
89 H 0.3701 0.0896 0.9252
90 H 0.3701 0.4104 0.4252
91 H 0.3752 0.5342 0.5551
92 H 0.3752 0.9658 0.0551
93 H 0.3925 0.1730 0.9714
94 H 0.3925 0.3270 0.4714
95 H 0.3936 0.7156 0.5757
96 H 0.3936 0.7844 0.0757
97 H 0.4179 0.1049 0.0606
98 H 0.4179 0.3951 0.5606
99 H 0.4355 0.0156 0.1600
100 H 0.4355 0.4844 0.6600
101 H 0.4458 0.0068 0.6401
102 H 0.4458 0.4932 0.1401
103 H 0.4487 0.6639 0.8044
104 H 0.4487 0.8361 0.3044
105 H 0.4665 0.7477 0.3190
106 H 0.4665 0.7523 0.8190
107 H 0.4821 0.1957 0.5782
108 H 0.4821 0.3043 0.0782
109 H 0.5179 0.6957 0.9218
110 H 0.5179 0.8043 0.4218
111 H 0.5335 0.2477 0.1810
112 H 0.5335 0.2523 0.6810
113 H 0.5513 0.1639 0.6956
114 H 0.5513 0.3361 0.1956
115 H 0.5542 0.5068 0.8599
116 H 0.5542 0.9932 0.3599
117 H 0.5645 0.5156 0.3400
118 H 0.5645 0.9844 0.8400
119 H 0.5821 0.6049 0.4394
120 H 0.5821 0.8951 0.9394
121 H 0.6064 0.2156 0.9243
122 H 0.6064 0.2844 0.4243
123 H 0.6075 0.6730 0.5286
124 H 0.6075 0.8270 0.0286
125 H 0.6248 0.0342 0.9449
126 H 0.6248 0.4658 0.4449
127 H 0.6299 0.5896 0.5748
128 H 0.6299 0.9104 0.0748
129 H 0.6383 0.1720 0.0487
130 H 0.6383 0.3280 0.5487
131 H 0.6389 0.5486 0.9565
132 H 0.6389 0.9514 0.4565
133 H 0.6421 0.0565 0.8044
134 H 0.6421 0.4435 0.3044
135 H 0.6486 0.5696 0.8143
136 H 0.6486 0.9304 0.3143
137 H 0.6556 0.7431 0.1415
138 H 0.6556 0.7569 0.6415
139 H 0.6573 0.0760 0.1860
140 H 0.6573 0.4240 0.6860
141 H 0.6984 0.5812 0.1803
142 H 0.6984 0.9188 0.6803
143 H 0.7081 0.6909 0.7242
144 H 0.7081 0.8091 0.2242
145 H 0.7319 0.9999 0.1629
146 H 0.7319 0.5001 0.6629
147 H 0.7328 0.2211 0.2159
148 H 0.7328 0.2789 0.7159
149 H 0.7456 0.1968 0.9580
150 H 0.7456 0.3032 0.4580
151 H 0.7538 0.6958 0.9614
152 H 0.7538 0.8042 0.4614
153 H 0.7605 0.5006 0.1629
154 H 0.7605 0.9994 0.6629
155 H 0.7723 0.7286 0.2253
156 H 0.7723 0.7714 0.7253
157 H 0.7770 0.1946 0.7346
158 H 0.7770 0.3054 0.2346
159 H 0.8036 0.0774 0.1783
160 H 0.8036 0.4226 0.6783
161 H 0.8442 0.5734 0.1855
162 H 0.8442 0.9266 0.6855
163 H 0.8497 0.2489 0.6446
164 H 0.8497 0.2511 0.1446
165 H 0.8556 0.0528 0.9524
166 H 0.8556 0.4472 0.4524
167 H 0.8571 0.0668 0.8076
168 H 0.8571 0.4332 0.3076
169 H 0.8579 0.5573 0.8075
170 H 0.8579 0.9427 0.3075
171 H 0.8650 0.6726 0.0486
172 H 0.8650 0.8274 0.5486
173 H 0.8763 0.5321 0.9464
174 H 0.8763 0.9679 0.4464
175 H 0.8833 0.1566 0.5711
176 H 0.8833 0.3434 0.0711
177 H 0.8845 0.0706 0.5351
178 H 0.8845 0.4294 0.0351
179 H 0.8910 0.7159 0.9226
180 H 0.8910 0.7841 0.4226
181 H 0.9152 0.1326 0.4347
182 H 0.9152 0.3674 0.9347
183 H 0.9350 0.0161 0.3387
184 H 0.9350 0.4839 0.8387
185 H 0.9460 0.0058 0.8682
186 H 0.9460 0.4942 0.3682
187 H 0.9502 0.6628 0.6939
188 H 0.9502 0.8372 0.1939
189 H 0.9652 0.7483 0.1825
190 H 0.9652 0.7517 0.6825
191 H 0.9815 0.1971 0.9220
192 H 0.9815 0.3029 0.4220
193 C 0.0478 0.2049 0.8635
194 C 0.0478 0.2951 0.3635
195 C 0.1348 0.5288 0.6277
196 C 0.1348 0.9712 0.1277
197 C 0.1358 0.0140 0.6373
198 C 0.1358 0.4860 0.1373
199 C 0.1366 0.6210 0.9944
200 C 0.1366 0.8790 0.4944
201 C 0.1653 0.2106 0.5086
202 C 0.1653 0.2894 0.0086
203 C 0.2314 0.7351 0.8251
204 C 0.2314 0.7649 0.3251
205 C 0.2334 0.0491 0.2946
206 C 0.2334 0.4509 0.7946
207 C 0.2677 0.5486 0.2949
208 C 0.2677 0.9514 0.7949
209 C 0.2696 0.2342 0.8261
210 C 0.2696 0.2658 0.3261
211 C 0.3345 0.7106 0.5090
212 C 0.3345 0.7894 0.0090
213 C 0.3632 0.1232 0.9962
214 C 0.3632 0.3768 0.4962
215 C 0.3640 0.5145 0.6380
216 C 0.3640 0.9855 0.1380
217 C 0.3650 0.0288 0.6270
218 C 0.3650 0.4712 0.1270
219 C 0.4520 0.7051 0.8633
220 C 0.4520 0.7949 0.3633
221 C 0.5480 0.2051 0.6367
222 C 0.5480 0.2949 0.1367
223 C 0.6350 0.5288 0.8730
224 C 0.6350 0.9712 0.3730
225 C 0.6360 0.0145 0.8620
226 C 0.6360 0.4855 0.3620
227 C 0.6368 0.6232 0.5038
228 C 0.6368 0.8768 0.0038
229 C 0.6655 0.2106 0.9910
230 C 0.6655 0.2894 0.4910
231 C 0.7304 0.7342 0.6739
232 C 0.7304 0.7658 0.1739
233 C 0.7323 0.0486 0.2051
234 C 0.7323 0.4514 0.7051
235 C 0.7666 0.5491 0.2054
236 C 0.7666 0.9509 0.7054
237 C 0.7686 0.2351 0.6749
238 C 0.7686 0.2649 0.1749
239 C 0.8347 0.7106 0.9914
240 C 0.8347 0.7894 0.4914
241 C 0.8634 0.1210 0.5056
242 C 0.8634 0.3790 0.0056
243 C 0.8642 0.5140 0.8627
244 C 0.8642 0.9860 0.3627
245 C 0.8652 0.0288 0.8723
246 C 0.8652 0.4712 0.3723
247 C 0.9522 0.7049 0.6365
248 C 0.9522 0.7951 0.1365
249 Cl 0.0473 0.1367 0.1218
250 Cl 0.0473 0.3633 0.6218
251 Cl 0.4518 0.6370 0.1217
252 Cl 0.4518 0.8630 0.6217
253 Cl 0.5482 0.1370 0.3783
254 Cl 0.5482 0.3630 0.8783
255 Cl 0.9527 0.6367 0.3782
256 Cl 0.9527 0.8633 0.8782

***

Record 2
The following is a PBE-GGA calculation of crystalline HOs3C10ClO10 at its relaxed geometry, from the Materials Project.

Properties
Crystal system: triclinic
E: -7.8823 eV per atom
M_tot: 0.00 μB/f.u.
Energy of formation: -0.930 eV per atom

a = 7.8850 Å, b = 8.9337 Å, c = 13.7376 Å
α = 94.86°, β = 102.98°, γ = 110.67°
Positions (direct):
1 H 0.0392 0.4371 0.3716
2 H 0.9608 0.5629 0.6284
3 Os 0.0087 0.5441 0.2624
4 Os 0.0927 0.7798 0.6899
5 Os 0.3812 0.6787 0.7966
6 Os 0.6188 0.3213 0.2034
7 Os 0.9073 0.2202 0.3101
8 Os 0.9913 0.4559 0.7376
9 C 0.0423 0.3663 0.8571
10 C 0.0555 0.3068 0.6646
11 C 0.1237 0.1850 0.3849
12 C 0.2276 0.8286 0.5920
13 C 0.2292 0.9935 0.7668
14 C 0.2766 0.6702 0.3102
15 C 0.3399 0.7647 0.9217
16 C 0.3834 0.5897 0.6622
17 C 0.4028 0.1293 0.1941
18 C 0.4960 0.5444 0.8631
19 C 0.5040 0.4556 0.1369
20 C 0.5972 0.8707 0.8059
21 C 0.6166 0.4103 0.3378
22 C 0.6601 0.2353 0.0783
23 C 0.7234 0.3298 0.6898
24 C 0.7708 0.0065 0.2332
25 C 0.7724 0.1714 0.4080
26 C 0.8763 0.8150 0.6151
27 C 0.9445 0.6932 0.3354
28 C 0.9577 0.6337 0.1429
29 Cl 0.0712 0.3182 0.1800
30 Cl 0.9288 0.6818 0.8200
31 O 0.0706 0.3131 0.9304
32 O 0.0916 0.2108 0.6196
33 O 0.2501 0.1572 0.4293
34 O 0.2720 0.0140 0.1921
35 O 0.3066 0.1211 0.8184
36 O 0.3116 0.8598 0.5318
37 O 0.3251 0.8193 0.9977
38 O 0.3884 0.5387 0.5827
39 O 0.4321 0.5359 0.0963
40 O 0.4366 0.7498 0.3373
41 O 0.5634 0.2502 0.6627
42 O 0.5679 0.4641 0.9037
43 O 0.6116 0.4613 0.4173
44 O 0.6749 0.1807 0.0023
45 O 0.6884 0.1402 0.4682
46 O 0.6934 0.8789 0.1816
47 O 0.7280 0.9860 0.8079
48 O 0.7499 0.8428 0.5707
49 O 0.9084 0.7892 0.3804
50 O 0.9294 0.6869 0.0696

***

Record 3
The following is a PBE-GGA calculation of crystalline H3Os4C12ClO12 at its relaxed geometry, from the Materials Project.

Properties
Crystal system: monoclinic
E: -7.7106 eV per atom
M_tot: 0.00 μB/f.u.
Energy of formation: -0.873 eV per atom

a = 9.6475 Å, b = 16.8878 Å, c = 15.2538 Å
α = 90.00°, β = 121.53°, γ = 90.00°
Positions (direct):
1 H 0.0043 0.2194 0.3420
2 H 0.0043 0.2806 0.8420
3 H 0.2464 0.2476 0.2717
4 H 0.2464 0.2524 0.7717
5 H 0.4928 0.2308 0.9986
6 H 0.4928 0.2692 0.4986
7 H 0.5072 0.7308 0.5014
8 H 0.5072 0.7692 0.0014
9 H 0.7536 0.7476 0.2283
10 H 0.7536 0.7524 0.7283
11 H 0.9957 0.7194 0.1580
12 H 0.9957 0.7806 0.6580
13 Os 0.0918 0.2088 0.7907
14 Os 0.0918 0.2912 0.2908
15 Os 0.1465 0.1496 0.4306
16 Os 0.1465 0.3504 0.9306
17 Os 0.3559 0.1558 0.9905
18 Os 0.3559 0.3442 0.4905
19 Os 0.3999 0.1986 0.3900
20 Os 0.3999 0.3014 0.8900
21 Os 0.6001 0.6986 0.1100
22 Os 0.6001 0.8014 0.6100
23 Os 0.6441 0.6558 0.5095
24 Os 0.6441 0.8442 0.0095
25 Os 0.8535 0.6496 0.0694
26 Os 0.8535 0.8504 0.5694
27 Os 0.9082 0.7088 0.7093
28 Os 0.9082 0.7912 0.2092
29 C 0.0321 0.6296 0.0499
30 C 0.0321 0.8704 0.5499
31 C 0.0596 0.6458 0.6929
32 C 0.0596 0.7390 0.3361
33 C 0.0596 0.7610 0.8361
34 C 0.0596 0.8542 0.1929
35 C 0.0703 0.0796 0.3194
36 C 0.0703 0.4204 0.8194
37 C 0.1361 0.1241 0.7271
38 C 0.1361 0.3759 0.2271
39 C 0.2224 0.0706 0.9899
40 C 0.2224 0.4294 0.4899
41 C 0.2946 0.0752 0.5306
42 C 0.2946 0.4248 0.0306
43 C 0.3491 0.1138 0.2949
44 C 0.3491 0.3862 0.7949
45 C 0.4385 0.0945 0.9259
46 C 0.4385 0.4055 0.4259
47 C 0.4426 0.6364 0.9973
48 C 0.4426 0.8636 0.4973
49 C 0.4534 0.7466 0.1448
50 C 0.4534 0.7534 0.6448
51 C 0.4607 0.6353 0.3742
52 C 0.4607 0.8647 0.8742
53 C 0.5393 0.1353 0.1258
54 C 0.5393 0.3647 0.6258
55 C 0.5466 0.2466 0.3552
56 C 0.5466 0.2534 0.8552
57 C 0.5574 0.1364 0.5027
58 C 0.5574 0.3636 0.0027
59 C 0.5615 0.5945 0.5741
60 C 0.5615 0.9055 0.0741
61 C 0.6509 0.6138 0.2051
62 C 0.6509 0.8862 0.7051
63 C 0.7054 0.5752 0.9694
64 C 0.7054 0.9248 0.4694
65 C 0.7776 0.5706 0.5101
66 C 0.7776 0.9294 0.0101
67 C 0.8639 0.6241 0.7729
68 C 0.8639 0.8759 0.2729
69 C 0.9297 0.5796 0.1806
70 C 0.9297 0.9204 0.6806
71 C 0.9404 0.1458 0.8071
72 C 0.9404 0.2390 0.1639
73 C 0.9404 0.2610 0.6639
74 C 0.9404 0.3542 0.3071
75 C 0.9679 0.1296 0.4501
76 C 0.9679 0.3704 0.9501
77 Cl 0.2485 0.2484 0.0690
78 Cl 0.2485 0.2516 0.5690
79 Cl 0.7515 0.7484 0.4310
80 Cl 0.7515 0.7516 0.9310
81 O 0.0133 0.0392 0.2468
82 O 0.0133 0.4608 0.7468
83 O 0.1399 0.6153 0.0390
84 O 0.1399 0.8847 0.5390
85 O 0.1501 0.0166 0.9912
86 O 0.1501 0.4834 0.4912
87 O 0.1519 0.6074 0.6848
88 O 0.1519 0.8926 0.1848
89 O 0.1528 0.7091 0.4137
90 O 0.1528 0.7909 0.9137
91 O 0.1577 0.0729 0.6844
92 O 0.1577 0.4271 0.1844
93 O 0.3277 0.0643 0.2363
94 O 0.3277 0.4357 0.7363
95 O 0.3418 0.5989 0.9298
96 O 0.3418 0.9011 0.4298
97 O 0.3475 0.6200 0.2946
98 O 0.3475 0.8800 0.7946
99 O 0.3642 0.7284 0.6673
100 O 0.3642 0.7716 0.1673
101 O 0.3820 0.0313 0.5942
102 O 0.3820 0.4687 0.0942
103 O 0.4957 0.0576 0.8882
104 O 0.4957 0.4424 0.3882
105 O 0.5043 0.5576 0.6118
106 O 0.5043 0.9424 0.1118
107 O 0.6180 0.5313 0.9058
108 O 0.6180 0.9687 0.4058
109 O 0.6358 0.2284 0.8327
110 O 0.6358 0.2716 0.3327
111 O 0.6525 0.1200 0.2054
112 O 0.6525 0.3800 0.7054
113 O 0.6582 0.0989 0.5702
114 O 0.6582 0.4011 0.0702
115 O 0.6723 0.5643 0.2637
116 O 0.6723 0.9357 0.7637
117 O 0.8423 0.5729 0.8156
118 O 0.8423 0.9271 0.3156
119 O 0.8472 0.2091 0.0863
120 O 0.8472 0.2909 0.5863
121 O 0.8481 0.1074 0.8152
122 O 0.8481 0.3926 0.3152
123 O 0.8499 0.5166 0.5088
124 O 0.8499 0.9834 0.0088
125 O 0.8601 0.1153 0.4610
126 O 0.8601 0.3847 0.9610
127 O 0.9867 0.5392 0.2532
128 O 0.9867 0.9608 0.7532